Density functional theory data (GGA-PBE) for a geometry-optimized Li2TiTe3O12 structure.

Geometry as POSCAR:
```
Li2TiTe3O12
1.0
5.017 0.000 0.000
0.000 8.445 0.000
-0.069 0.000 5.216
Li Ti Te O
2 1 3 12
Direct
0.000 0.000 0.000
0.500 0.120 0.000
0.000 0.210 0.500
0.000 0.383 0.000
0.500 0.693 0.000
0.500 0.893 0.500
0.196 0.370 0.691
0.202 0.212 0.172
0.248 0.547 0.142
0.259 0.045 0.639
0.293 0.873 0.172
0.296 0.722 0.682
0.704 0.722 0.318
0.707 0.873 0.828
0.741 0.045 0.361
0.752 0.547 0.858
0.798 0.212 0.828
0.804 0.370 0.309
```

## Properties
As for the energy relative to the elements: -1916 meV/atom. As for the crystal system: monoclinic. The calculation puts the maximum piezoelectric response at 0.6 C/m². The total magnetic moment comes out at 0.0 μB per cell. The space group is P2.